# 1
Density functional theory data (PBE with a Hubbard U) for a relaxed structure of Cu2NiSnO4.

Unit cell a=5.421 b=6.879 c=6.409 alpha=117.78 beta=90.01 gamma=105.43
Atoms (fractional coordinates):
Cu 0.500 0.000 0.750
O 0.389 0.679 0.589
Ni 0.500 0.500 0.750
Sn 0.000 0.500 0.000
Cu 0.000 0.000 0.000
Ni 0.500 0.500 0.250
O 0.105 0.318 0.659
Cu 0.500 0.000 0.250
O 0.389 0.679 0.089
Sn 0.000 0.500 0.500
O 0.895 0.682 0.841
O 0.611 0.321 0.411
Cu 0.000 0.000 0.500
O 0.105 0.318 0.159
O 0.895 0.682 0.341
O 0.611 0.321 0.911



# 2
Density functional theory data (PBE with a Hubbard U) for a relaxed structure of Sr2YCu2NiO7.

Unit cell a=12.182 b=12.182 c=12.182 alpha=154.26 beta=153.82 gamma=37.04
Atoms (fractional coordinates):
O 0.805 0.819 0.501
Ni 0.320 0.722 0.542
O 0.689 0.701 0.519
Sr 0.336 0.359 0.001
O 0.366 0.370 0.235
Cu 0.571 0.084 0.510
Sr 0.858 0.859 0.023
Sr 0.664 0.665 0.023
O 0.283 0.858 0.492
O 0.195 0.695 0.013
Ni 0.680 0.222 0.402
O 0.717 0.209 0.575
O 0.682 0.201 0.012
O 0.311 0.830 0.012
Cu 0.074 0.584 0.513
O 0.818 0.319 0.013
O 0.134 0.709 0.492
O 0.634 0.870 0.004
O 0.182 0.195 0.501
Sr 0.142 0.165 0.001
Y 0.500 0.510 0.010
O 0.866 0.358 0.575
Cu 0.926 0.439 0.510
O 0.318 0.330 0.519
Cu 0.429 0.939 0.513
Y 0.000 0.010 0.010

Values from the calculation:
- SG = Ima2, No. 46



# 3
Density functional theory data (PBE with a Hubbard U) for a relaxed structure of V2Cu3NiO6.

Unit cell a=5.299 b=7.393 c=7.393 alpha=104.26 beta=82.89 gamma=97.11
Atoms (fractional coordinates):
Cu 0.002 0.667 0.666
O 0.069 0.828 0.506
O 0.444 0.331 0.649
V 0.250 0.748 0.248
Cu 0.495 0.497 0.495
O 0.539 0.658 0.336
O 0.942 0.507 0.826
Cu 0.005 0.996 0.997
V 0.250 0.085 0.585
V 0.750 0.583 0.083
O 0.961 0.836 0.158
Cu 0.006 0.336 0.338
Cu 0.498 0.166 0.167
O 0.056 0.149 0.831
Cu 0.494 0.838 0.836
O 0.558 0.326 0.007
O 0.056 0.503 0.185
Ni 0.250 0.417 0.917
Ni 0.750 0.917 0.417
O 0.444 0.685 0.003
O 0.539 0.997 0.675
O 0.431 0.006 0.328
V 0.750 0.250 0.750
O 0.961 0.175 0.497

Values from the calculation:
- SG = C2/m, No. 12



# 4
Density functional theory data (PBE with a Hubbard U) for a relaxed structure of V4CuNiO12.

Unit cell a=6.656 b=11.900 c=6.656 alpha=104.05 beta=95.97 gamma=75.96
Atoms (fractional coordinates):
O 0.813 0.322 0.033
O 0.643 0.280 0.374
O 0.345 0.225 0.628
O 0.625 0.111 0.912
O 0.033 0.928 0.813
O 0.376 0.884 0.081
O 0.345 0.725 0.628
O 0.206 0.164 0.965
V 0.613 0.379 0.204
O 0.081 0.867 0.376
O 0.912 0.139 0.625
V 0.391 0.617 0.788
V 0.204 0.371 0.613
V 0.788 0.633 0.391
O 0.373 0.470 0.643
Ni 0.920 0.125 0.920
V 0.204 0.871 0.613
O 0.628 0.525 0.345
O 0.081 0.366 0.376
O 0.643 0.780 0.373
O 0.911 0.639 0.625
V 0.789 0.133 0.391
O 0.374 0.970 0.643
O 0.965 0.586 0.206
O 0.625 0.611 0.911
Ni 0.920 0.625 0.920
O 0.376 0.383 0.081
O 0.965 0.086 0.206
Cu 0.084 0.876 0.084
Cu 0.084 0.375 0.084
V 0.391 0.117 0.789
O 0.813 0.822 0.033
O 0.206 0.664 0.965
O 0.033 0.428 0.814
O 0.628 0.025 0.345
V 0.613 0.879 0.203

Values from the calculation:
- SG = C2, No. 5



# 5
Density functional theory data (PBE with a Hubbard U) for a relaxed structure of V2Cu3NiO6.

Unit cell a=5.254 b=5.253 c=11.676 alpha=94.55 beta=85.46 gamma=60.49
Atoms (fractional coordinates):
V 0.251 0.751 0.250
Cu 0.997 0.997 0.000
Ni 0.416 0.916 0.750
O 0.226 0.099 0.340
O 0.726 0.599 0.840
Cu 0.497 0.497 0.500
Ni 0.916 0.416 0.250
O 0.398 0.285 0.840
O 0.599 0.726 0.160
Cu 0.838 0.838 0.500
O 0.285 0.398 0.160
Cu 0.338 0.338 0.000
V 0.750 0.250 0.750
O 0.534 0.458 0.340
O 0.898 0.785 0.340
V 0.584 0.084 0.250
O 0.785 0.898 0.660
Cu 0.664 0.664 0.000
Cu 0.164 0.164 0.500
V 0.084 0.584 0.750
O 0.099 0.226 0.660
O 0.034 0.958 0.840
O 0.458 0.534 0.660
O 0.958 0.034 0.160



# 6
Density functional theory data (PBE with a Hubbard U) for a relaxed structure of YCu3Ni4O12.

Unit cell a=6.299 b=6.299 c=6.299 alpha=109.47 beta=109.47 gamma=109.47
Atoms (fractional coordinates):
O 0.862 0.169 0.694
Cu 0.000 0.500 0.500
O 0.306 0.475 0.169
O 0.169 0.694 0.862
Cu 0.500 0.500 0.000
Ni 0.000 0.500 0.000
O 0.169 0.306 0.475
O 0.525 0.831 0.694
O 0.475 0.169 0.306
Ni 0.500 0.000 0.000
Y 0.000 0.000 0.000
Ni 0.500 0.500 0.500
Cu 0.500 0.000 0.500
O 0.831 0.306 0.138
O 0.694 0.862 0.169
O 0.694 0.525 0.831
O 0.138 0.831 0.306
Ni 0.000 0.000 0.500
O 0.306 0.138 0.831
O 0.831 0.694 0.525

Values from the calculation:
- SG = Im-3, No. 204



# 7
Density functional theory data (PBE with a Hubbard U) for a relaxed structure of ZnCu2Ni2O8.

Unit cell a=6.375 b=8.323 c=11.657 alpha=90.00 beta=91.87 gamma=90.00
Atoms (fractional coordinates):
O 0.481 0.118 0.858
O 0.659 0.024 0.587
Cu 0.618 0.941 0.377
Ni 0.099 0.462 0.840
O 0.898 0.888 0.377
O 0.854 0.973 0.810
O 0.980 0.738 0.104
O 0.341 0.524 0.913
O 0.674 0.374 0.789
O 0.146 0.027 0.190
Cu 0.749 0.310 0.376
O 0.020 0.262 0.896
O 0.410 0.269 0.571
Zn 0.109 0.341 0.548
O 0.192 0.922 0.977
O 0.326 0.626 0.211
O 0.020 0.238 0.396
O 0.590 0.731 0.429
Cu 0.618 0.559 0.877
Ni 0.901 0.962 0.660
Zn 0.891 0.659 0.452
Cu 0.749 0.190 0.876
O 0.102 0.112 0.623
O 0.854 0.527 0.310
O 0.519 0.618 0.642
O 0.341 0.976 0.413
Cu 0.251 0.810 0.124
O 0.980 0.762 0.604
O 0.326 0.874 0.711
O 0.659 0.476 0.087
Cu 0.382 0.059 0.623
O 0.808 0.422 0.523
Ni 0.901 0.538 0.160
O 0.519 0.882 0.142
Ni 0.606 0.408 0.633
Cu 0.251 0.690 0.624
Cu 0.382 0.441 0.123
O 0.481 0.382 0.358
O 0.410 0.231 0.071
O 0.146 0.473 0.690
Zn 0.109 0.159 0.048
O 0.192 0.578 0.477
Zn 0.891 0.841 0.952
O 0.674 0.126 0.289
Ni 0.606 0.092 0.133
Ni 0.394 0.908 0.867
Ni 0.394 0.592 0.367
O 0.102 0.388 0.123
O 0.808 0.078 0.023
Ni 0.099 0.038 0.340
O 0.590 0.769 0.929
O 0.898 0.612 0.877

Values from the calculation:
- SG = P2_1/c, No. 14



# 8
Density functional theory data (PBE with a Hubbard U) for a relaxed structure of Rb2V2CuP2O12.

Unit cell a=11.637 b=5.067 c=9.642 alpha=86.12 beta=90.00 gamma=90.00
Atoms (fractional coordinates):
Rb 0.365 0.559 0.106
Cu 0.500 0.500 0.500
V 0.115 0.055 0.250
P 0.863 0.989 0.083
Rb 0.865 0.441 0.394
Cu 0.000 0.500 0.000
O 0.972 0.101 0.635
O 0.610 0.692 0.606
O 0.110 0.308 0.894
P 0.363 0.011 0.417
O 0.828 0.069 0.930
O 0.890 0.692 0.106
O 0.874 0.631 0.715
O 0.765 0.068 0.180
O 0.672 0.069 0.430
O 0.126 0.369 0.285
O 0.172 0.931 0.070
O 0.470 0.836 0.381
O 0.530 0.164 0.619
P 0.637 0.989 0.583
V 0.885 0.945 0.750
Rb 0.135 0.559 0.606
V 0.385 0.055 0.750
O 0.390 0.308 0.394
O 0.235 0.932 0.820
O 0.528 0.101 0.135
O 0.626 0.631 0.215
O 0.970 0.164 0.119
O 0.735 0.068 0.680
O 0.328 0.931 0.570
Rb 0.635 0.441 0.894
P 0.137 0.011 0.917
O 0.374 0.369 0.785
V 0.615 0.945 0.250
O 0.030 0.836 0.881
O 0.028 0.899 0.365
O 0.472 0.899 0.865
O 0.265 0.932 0.320

Values from the calculation:
- SG = P2_1/c, No. 14



# 9
Density functional theory data (PBE with a Hubbard U) for a relaxed structure of V3Cu2SbP6O24.

Unit cell a=8.690 b=8.690 c=8.690 alpha=59.56 beta=59.56 gamma=59.56
Atoms (fractional coordinates):
P 0.041 0.456 0.748
O 0.416 0.767 0.561
O 0.582 0.232 0.442
O 0.300 0.121 0.508
V 0.641 0.641 0.641
P 0.253 0.960 0.536
O 0.561 0.416 0.767
O 0.943 0.734 0.082
O 0.496 0.698 0.877
O 0.800 0.012 0.620
P 0.960 0.536 0.253
O 0.917 0.058 0.268
P 0.456 0.748 0.041
O 0.121 0.508 0.300
O 0.698 0.877 0.496
O 0.232 0.442 0.582
O 0.268 0.917 0.058
O 0.442 0.582 0.232
V 0.142 0.142 0.142
O 0.993 0.380 0.196
Cu 0.004 0.004 0.004
O 0.877 0.496 0.698
O 0.012 0.620 0.800
O 0.767 0.561 0.416
V 0.358 0.358 0.358
O 0.508 0.300 0.121
Cu 0.500 0.500 0.500
O 0.082 0.943 0.734
Sb 0.857 0.857 0.857
O 0.620 0.800 0.012
O 0.196 0.993 0.380
O 0.734 0.082 0.943
O 0.380 0.196 0.993
P 0.748 0.041 0.456
P 0.536 0.253 0.960
O 0.058 0.268 0.917

Values from the calculation:
- SG = R3, No. 146



# 10
Density functional theory data (PBE with a Hubbard U) for a relaxed structure of V3Cu2SnP6O24.

Unit cell a=8.665 b=8.665 c=8.665 alpha=59.76 beta=59.76 gamma=59.76
Atoms (fractional coordinates):
Cu 0.002 0.002 0.002
O 0.767 0.556 0.420
O 0.500 0.311 0.120
O 0.264 0.917 0.060
O 0.800 0.018 0.613
O 0.946 0.732 0.089
O 0.311 0.120 0.500
Sn 0.857 0.857 0.857
O 0.698 0.877 0.495
O 0.060 0.264 0.917
P 0.749 0.043 0.454
P 0.537 0.254 0.960
O 0.379 0.196 0.995
O 0.420 0.767 0.556
V 0.357 0.357 0.357
P 0.254 0.960 0.537
O 0.613 0.800 0.018
P 0.454 0.749 0.043
O 0.582 0.235 0.434
V 0.142 0.142 0.142
O 0.877 0.495 0.698
O 0.732 0.089 0.946
Cu 0.499 0.499 0.499
O 0.495 0.698 0.877
P 0.960 0.537 0.254
O 0.196 0.995 0.379
O 0.235 0.434 0.582
P 0.043 0.454 0.749
O 0.120 0.500 0.311
O 0.556 0.420 0.767
O 0.434 0.582 0.235
O 0.995 0.379 0.196
O 0.917 0.060 0.264
V 0.642 0.642 0.642
O 0.089 0.946 0.732
O 0.018 0.613 0.800

Values from the calculation:
- SG = R3, No. 146



# 11
Density functional theory data (PBE with a Hubbard U) for a relaxed structure of Ti3VCu2P6O24.

Unit cell a=8.608 b=8.608 c=8.608 alpha=59.97 beta=59.97 gamma=59.97
Atoms (fractional coordinates):
O 0.584 0.441 0.230
P 0.961 0.250 0.538
Ti 0.642 0.642 0.642
P 0.040 0.752 0.459
O 0.729 0.943 0.083
O 0.625 0.000 0.803
P 0.752 0.459 0.040
V 0.142 0.142 0.142
O 0.996 0.197 0.376
O 0.058 0.918 0.269
O 0.269 0.058 0.918
O 0.197 0.376 0.996
Cu 0.500 0.500 0.500
O 0.499 0.874 0.699
Ti 0.858 0.858 0.858
P 0.538 0.961 0.250
O 0.803 0.625 0.000
O 0.083 0.729 0.943
O 0.558 0.771 0.417
O 0.303 0.500 0.126
O 0.441 0.230 0.584
O 0.771 0.417 0.558
O 0.126 0.303 0.500
O 0.500 0.126 0.303
O 0.699 0.499 0.874
O 0.943 0.083 0.729
O 0.874 0.699 0.499
O 0.376 0.996 0.197
O 0.417 0.558 0.771
O 0.918 0.269 0.058
Ti 0.358 0.358 0.358
O 0.000 0.803 0.625
P 0.459 0.040 0.752
P 0.250 0.538 0.961
O 0.230 0.584 0.441
Cu 0.999 0.999 0.999

Values from the calculation:
- SG = R3, No. 146



| no. | total energy after the MP2020 corrections (eV for the cell shown) |
| --- | --- |
| 1 | -97.1 |
| 2 | -174.0 |
| 3 | -170.7 |
| 4 | -284.6 |
| 5 | -170.8 |
| 6 | -127.4 |
| 7 | -279.7 |
| 8 | -279.1 |
| 9 | -276.3 |
| 10 | -277.7 |
| 11 | -290.0 |